{"formula": "Nb2Zn4O9", "functional": "PBE-GGA", "state": "relaxed", "total_energy_ev_per_atom": -6.567, "cell": [[5.260, 0.000, 0.000], [-2.630, 4.556, 0.000], [0.000, 0.000, 14.382]], "species": ["Nb", "Nb", "Nb", "Nb", "Zn", "Zn", "Zn", "Zn", "Zn", "Zn", "Zn", "Zn", "O", "O", "O", "O", "O", "O", "O", "O", "O", "O", "O", "O", "O", "O", "O", "O", "O", "O"], "frac_coords": [[0.000, 0.000, 0.139], [0.000, 0.000, 0.361], [0.000, 0.000, 0.639], [0.000, 0.000, 0.861], [0.333, 0.667, 0.014], [0.333, 0.667, 0.295], [0.333, 0.667, 0.514], [0.333, 0.667, 0.795], [0.667, 0.333, 0.205], [0.667, 0.333, 0.486], [0.667, 0.333, 0.705], [0.667, 0.333, 0.986], [0.000, 0.286, 0.250], [0.000, 0.714, 0.750], [0.020, 0.340, 0.916], [0.020, 0.680, 0.416], [0.286, 0.000, 0.250], [0.286, 0.286, 0.750], [0.320, 0.340, 0.416], [0.320, 0.980, 0.916], [0.340, 0.020, 0.584], [0.340, 0.320, 0.084], [0.660, 0.680, 0.916], [0.660, 0.980, 0.416], [0.680, 0.020, 0.084], [0.680, 0.660, 0.584], [0.714, 0.000, 0.750], [0.714, 0.714, 0.250], [0.980, 0.320, 0.584], [0.980, 0.660, 0.084]]}